[1]
Computed, not measured: a relaxed SeCl4 crystal at the PBE-GGA level of DFT.

## Properties
calculated density: 2.41 g/cm³
magnetic moment: 0.00 μB per formula unit
V: 4862.8 Å³/cell
energy of formation from the pure elements: -0.821 eV/atom
E: -2.508 eV per atom

Cell lengths 16.9419, 16.9419, 16.9419 Å; angles 90.00, 90.00, 90.00 degrees
Positions (direct):
Se 0.0915 0.5986 0.6694
Se 0.8306 0.9014 0.5915
Se 0.0883 0.9117 0.9117
Se 0.4014 0.6694 0.9085
Se 0.5915 0.8306 0.9014
Se 0.9085 0.4014 0.6694
Se 0.4014 0.3306 0.0915
Se 0.5986 0.6694 0.0915
Se 0.5883 0.4117 0.4117
Se 0.1694 0.9014 0.4085
Se 0.9117 0.9117 0.0883
Se 0.4117 0.5883 0.4117
Se 0.0986 0.5915 0.1694
Se 0.8306 0.0986 0.4085
Se 0.3306 0.0915 0.4014
Se 0.3306 0.9085 0.5986
Se 0.4085 0.1694 0.9014
Se 0.6694 0.9085 0.4014
Se 0.9085 0.5986 0.3306
Se 0.9014 0.4085 0.1694
Se 0.6694 0.0915 0.5986
Se 0.0883 0.0883 0.0883
Se 0.4117 0.4117 0.5883
Se 0.5883 0.5883 0.5883
Se 0.4085 0.8306 0.0986
Se 0.9014 0.5915 0.8306
Se 0.0986 0.4085 0.8306
Se 0.9117 0.0883 0.9117
Se 0.1694 0.0986 0.5915
Se 0.5986 0.3306 0.9085
Se 0.0915 0.4014 0.3306
Se 0.5915 0.1694 0.0986
Cl 0.0384 0.0989 0.5956
Cl 0.2794 0.1870 0.9028
Cl 0.2794 0.8130 0.0972
Cl 0.2815 0.5837 0.4214
Cl 0.1702 0.0715 0.4213
Cl 0.7815 0.0786 0.9163
Cl 0.5769 0.4231 0.5769
Cl 0.3183 0.0763 0.2727
Cl 0.5989 0.5384 0.0956
Cl 0.0989 0.4044 0.9616
Cl 0.8298 0.0715 0.5787
Cl 0.1870 0.0972 0.7206
Cl 0.5384 0.0956 0.5989
Cl 0.5956 0.0384 0.0989
Cl 0.2273 0.5763 0.1817
Cl 0.9231 0.0769 0.0769
Cl 0.4011 0.5384 0.9044
Cl 0.9044 0.5989 0.4616
Cl 0.4285 0.3298 0.9213
Cl 0.3183 0.9237 0.7273
Cl 0.2185 0.9214 0.9163
Cl 0.7815 0.9214 0.0837
Cl 0.5769 0.5769 0.4231
Cl 0.7185 0.4163 0.4214
Cl 0.3298 0.0787 0.5715
Cl 0.0956 0.4011 0.4616
Cl 0.4011 0.4616 0.0956
Cl 0.6870 0.2206 0.5972
Cl 0.6702 0.9213 0.5715
Cl 0.7206 0.1870 0.0972
Cl 0.5787 0.1702 0.9285
Cl 0.9011 0.4044 0.0384
Cl 0.4044 0.0384 0.9011
Cl 0.5715 0.3298 0.0787
Cl 0.3298 0.9213 0.4285
Cl 0.2815 0.4163 0.5786
Cl 0.7185 0.5837 0.5786
Cl 0.5763 0.8183 0.7727
Cl 0.5384 0.9044 0.4011
Cl 0.9213 0.4285 0.3298
Cl 0.6702 0.0787 0.4285
Cl 0.4231 0.4231 0.4231
Cl 0.0763 0.7273 0.6817
Cl 0.9214 0.0837 0.7815
Cl 0.5837 0.4214 0.2815
Cl 0.8183 0.7727 0.5763
Cl 0.3130 0.2206 0.4028
Cl 0.5956 0.9616 0.9011
Cl 0.9616 0.0989 0.4044
Cl 0.1817 0.2273 0.5763
Cl 0.0837 0.2185 0.0786
Cl 0.0972 0.7206 0.1870
Cl 0.7727 0.5763 0.8183
Cl 0.9285 0.4213 0.8298
Cl 0.2206 0.4028 0.3130
Cl 0.1817 0.7727 0.4237
Cl 0.2727 0.6817 0.9237
Cl 0.1702 0.9285 0.5787
Cl 0.6817 0.9237 0.2727
Cl 0.5715 0.6702 0.9213
Cl 0.8298 0.9285 0.4213
Cl 0.0956 0.5989 0.5384
Cl 0.4231 0.5769 0.5769
Cl 0.4163 0.5786 0.2815
Cl 0.9028 0.2794 0.1870
Cl 0.0384 0.9011 0.4044
Cl 0.4214 0.2815 0.5837
Cl 0.5972 0.6870 0.2206
Cl 0.9163 0.7815 0.0786
Cl 0.7206 0.8130 0.9028
Cl 0.9011 0.5956 0.9616
Cl 0.0786 0.9163 0.7815
Cl 0.2273 0.4237 0.8183
Cl 0.7794 0.4028 0.6870
Cl 0.4616 0.0956 0.4011
Cl 0.7794 0.5972 0.3130
Cl 0.4213 0.1702 0.0715
Cl 0.9237 0.7273 0.3183
Cl 0.0769 0.0769 0.9231
Cl 0.9231 0.9231 0.9231
Cl 0.9237 0.2727 0.6817
Cl 0.4237 0.8183 0.2273
Cl 0.9616 0.9011 0.5956
Cl 0.9285 0.5787 0.1702
Cl 0.9028 0.7206 0.8130
Cl 0.8130 0.9028 0.7206
Cl 0.2727 0.3183 0.0763
Cl 0.4237 0.1817 0.7727
Cl 0.0763 0.2727 0.3183
Cl 0.0769 0.9231 0.0769
Cl 0.4616 0.9044 0.5989
Cl 0.9213 0.5715 0.6702
Cl 0.5837 0.5786 0.7185
Cl 0.4213 0.8298 0.9285
Cl 0.5786 0.7185 0.5837
Cl 0.2206 0.5972 0.6870
Cl 0.0989 0.5956 0.0384
Cl 0.4285 0.6702 0.0787
Cl 0.0972 0.2794 0.8130
Cl 0.9163 0.2185 0.9214
Cl 0.4214 0.7185 0.4163
Cl 0.0715 0.4213 0.1702
Cl 0.5787 0.8298 0.0715
Cl 0.4044 0.9616 0.0989
Cl 0.6817 0.0763 0.7273
Cl 0.0787 0.5715 0.3298
Cl 0.5989 0.4616 0.9044
Cl 0.6870 0.7794 0.4028
Cl 0.9044 0.4011 0.5384
Cl 0.4028 0.3130 0.2206
Cl 0.3130 0.7794 0.5972
Cl 0.0787 0.4285 0.6702
Cl 0.5786 0.2815 0.4163
Cl 0.0786 0.0837 0.2185
Cl 0.8183 0.2273 0.4237
Cl 0.9214 0.9163 0.2185
Cl 0.1870 0.9028 0.2794
Cl 0.2185 0.0786 0.0837
Cl 0.7273 0.3183 0.9237
Cl 0.7273 0.6817 0.0763
Cl 0.0715 0.5787 0.8298
Cl 0.7727 0.4237 0.1817
Cl 0.5763 0.1817 0.2273
Cl 0.8130 0.0972 0.2794
Cl 0.5972 0.3130 0.7794
Cl 0.4028 0.6870 0.7794
Cl 0.0837 0.7815 0.9214
Cl 0.4163 0.4214 0.7185

***

[2]
Computed, not measured: a relaxed SeCl4 crystal at the PBE-GGA level of DFT.

## Properties
calculated density: 2.29 g/cm³
V: 1281.8 Å³/cell
energy of formation from the pure elements: -0.835 eV/atom
E: -2.522 eV per atom

Cell lengths 10.1466, 10.1466, 15.9462 Å; angles 66.96, 66.96, 61.24 degrees
Positions (direct):
Se 0.1105 0.1584 0.1858
Se 0.8416 0.8895 0.3142
Se 0.8895 0.8416 0.8142
Se 0.1584 0.1105 0.6858
Se 0.2644 0.7413 0.1159
Se 0.2587 0.7356 0.3841
Se 0.7356 0.2587 0.8841
Se 0.7413 0.2644 0.6159
Cl 0.2128 0.2481 0.0349
Cl 0.7519 0.7872 0.4651
Cl 0.7872 0.7519 0.9651
Cl 0.2481 0.2128 0.5349
Cl 0.2195 0.2369 0.2434
Cl 0.7631 0.7805 0.2566
Cl 0.7805 0.7631 0.7566
Cl 0.2369 0.2195 0.7434
Cl 0.8839 0.3624 0.1944
Cl 0.6376 0.1161 0.3056
Cl 0.1161 0.6376 0.8056
Cl 0.3624 0.8839 0.6944
Cl 0.3623 0.8765 0.1919
Cl 0.1235 0.6377 0.3081
Cl 0.6377 0.1235 0.8081
Cl 0.8765 0.3623 0.6919
Cl 0.9945 0.0089 0.1341
Cl 0.9911 0.0055 0.3659
Cl 0.0055 0.9911 0.8659
Cl 0.0089 0.9945 0.6341
Cl 0.4787 0.5266 0.1281
Cl 0.4734 0.5213 0.3719
Cl 0.5213 0.4734 0.8719
Cl 0.5266 0.4787 0.6281
Cl 0.1484 0.6489 0.0736
Cl 0.3511 0.8516 0.4264
Cl 0.8516 0.3511 0.9264
Cl 0.6489 0.1484 0.5736
Cl 0.3599 0.8617 0.9725
Cl 0.1383 0.6401 0.5275
Cl 0.6401 0.1383 0.0275
Cl 0.8617 0.3599 0.4725

***

[3]
Computed, not measured: a relaxed Tl5Se2Cl crystal at the PBE-GGA level of DFT.

## Properties
calculated density: 7.87 g/cm³
V: 1025.5 Å³/cell
energy of formation from the pure elements: -0.605 eV/atom
E: -3.110 eV per atom

Cell lengths 8.7710, 8.7710, 13.3301 Å; angles 90.00, 90.00, 90.00 degrees
Positions (direct):
Tl 0.3731 0.6656 0.6072
Tl 0.8344 0.8731 0.6072
Tl 0.1656 0.1269 0.6072
Tl 0.8731 0.8344 0.8928
Tl 0.1269 0.1656 0.8928
Tl 0.6269 0.3344 0.6072
Tl 0.6656 0.3731 0.8928
Tl 0.3344 0.6269 0.8928
Tl 0.1656 0.8731 0.1072
Tl 0.8344 0.1269 0.1072
Tl 0.8731 0.1656 0.3928
Tl 0.3731 0.3344 0.1072
Tl 0.6269 0.6656 0.1072
Tl 0.3344 0.3731 0.3928
Tl 0.6656 0.6269 0.3928
Tl 0.1269 0.8344 0.3928
Tl 0.5000 0.0000 0.7921
Tl 0.0000 0.5000 0.7079
Tl 0.0000 0.5000 0.2079
Tl 0.5000 0.0000 0.2921
Se 0.6607 0.3393 0.2500
Se 0.1607 0.1607 0.2500
Se 0.8393 0.8393 0.2500
Se 0.3393 0.6607 0.2500
Se 0.1607 0.8393 0.7500
Se 0.6607 0.6607 0.7500
Se 0.3393 0.3393 0.7500
Se 0.8393 0.1607 0.7500
Cl 0.5000 0.0000 0.5422
Cl 0.0000 0.5000 0.9578
Cl 0.0000 0.5000 0.4578
Cl 0.5000 0.0000 0.0422

***

Q: Which value of V does entry 2 give?
A: 1281.8 Å³/cell